A | Below is a relaxed structure of Ba4Ta2O9, with properties calculated at the GGA-PBE level.

Cell: 6.184 10.702 16.640 Å, 90.00 90.00 90.00°
Fractional positions:
1 Ba 0.004 0.672 0.866
2 Ba 0.496 0.828 0.366
3 Ba 0.503 0.499 0.252
4 Ba 0.000 0.000 0.500
5 Ba 0.500 0.500 0.000
6 Ba 0.003 0.999 0.248
7 Ba 0.997 0.001 0.752
8 Ba 0.000 0.000 0.000
9 Ba 0.988 0.659 0.635
10 Ba 0.488 0.159 0.865
11 Ba 0.500 0.500 0.500
12 Ba 0.497 0.501 0.748
13 Ba 0.504 0.172 0.634
14 Ba 0.512 0.841 0.135
15 Ba 0.012 0.341 0.365
16 Ba 0.996 0.328 0.134
17 O 0.808 0.233 0.751
18 O 0.692 0.267 0.251
19 O 0.073 0.175 0.614
20 O 0.293 0.059 0.114
21 O 0.207 0.441 0.614
22 O 0.561 0.024 0.256
23 O 0.755 0.120 0.110
24 O 0.927 0.825 0.386
25 O 0.292 0.637 0.107
26 O 0.707 0.941 0.886
27 O 0.192 0.767 0.249
28 O 0.427 0.325 0.114
29 O 0.566 0.681 0.604
30 O 0.735 0.793 0.743
31 O 0.308 0.733 0.749
32 O 0.439 0.976 0.744
33 O 0.708 0.363 0.893
34 O 0.658 0.950 0.595
35 O 0.342 0.050 0.405
36 O 0.745 0.380 0.610
37 O 0.158 0.450 0.905
38 O 0.573 0.675 0.886
39 O 0.792 0.137 0.393
40 O 0.255 0.620 0.390
41 O 0.793 0.559 0.386
42 O 0.939 0.476 0.756
43 O 0.245 0.880 0.890
44 O 0.934 0.819 0.104
45 O 0.842 0.550 0.095
46 O 0.061 0.524 0.244
47 O 0.434 0.319 0.396
48 O 0.265 0.207 0.257
49 O 0.066 0.181 0.896
50 O 0.765 0.707 0.243
51 O 0.208 0.863 0.607
52 O 0.235 0.293 0.757
53 Ta 0.996 0.670 0.335
54 Ta 0.504 0.830 0.835
55 Ta 0.014 0.664 0.153
56 Ta 0.496 0.170 0.165
57 Ta 0.486 0.836 0.653
58 Ta 0.514 0.164 0.347
59 Ta 0.004 0.330 0.665
60 Ta 0.986 0.336 0.847

SG   P2_1/c, No. 14
Calculated volume   18.4 A^3/atom
Total magnetization   0.00 μB per cell


B | Below is a relaxed structure of Ba4Ta2O9, with properties calculated at the GGA-PBE level.

Cell: 6.090 10.571 18.903 Å, 56.10 90.00 90.00°
Fractional positions:
1 O 0.959 0.258 0.244
2 O 0.235 0.294 0.624
3 O 0.041 0.742 0.756
4 O 0.074 0.403 0.403
5 O 0.541 0.258 0.744
6 O 0.765 0.706 0.376
7 O 0.742 0.012 0.232
8 O 0.426 0.403 0.903
9 O 0.179 0.689 0.920
10 O 0.191 0.157 0.392
11 O 0.809 0.843 0.608
12 O 0.755 0.230 0.895
13 O 0.773 0.522 0.249
14 O 0.321 0.689 0.420
15 O 0.078 0.066 0.110
16 O 0.574 0.597 0.097
17 O 0.242 0.988 0.268
18 O 0.926 0.597 0.597
19 O 0.245 0.770 0.105
20 O 0.265 0.294 0.124
21 O 0.258 0.988 0.768
22 O 0.758 0.012 0.732
23 O 0.727 0.522 0.749
24 O 0.578 0.934 0.390
25 O 0.459 0.742 0.256
26 O 0.679 0.311 0.580
27 O 0.422 0.066 0.610
28 O 0.309 0.157 0.892
29 O 0.691 0.843 0.108
30 O 0.821 0.311 0.080
31 O 0.227 0.478 0.751
32 O 0.255 0.770 0.605
33 O 0.273 0.478 0.251
34 O 0.745 0.230 0.395
35 O 0.735 0.706 0.876
36 O 0.922 0.934 0.890
37 Ta 0.990 0.839 0.829
38 Ta 0.494 0.334 0.830
39 Ta 0.994 0.666 0.670
40 Ta 0.510 0.839 0.329
41 Ta 0.490 0.161 0.671
42 Ta 0.010 0.161 0.171
43 Ta 0.506 0.666 0.170
44 Ta 0.006 0.334 0.330
45 Ba 0.000 0.500 0.500
46 Ba 0.009 0.910 0.409
47 Ba 0.007 0.760 0.242
48 Ba 0.507 0.240 0.258
49 Ba 0.000 0.000 0.000
50 Ba 0.013 0.553 0.103
51 Ba 0.500 0.500 0.000
52 Ba 0.487 0.553 0.603
53 Ba 0.493 0.760 0.742
54 Ba 0.500 0.000 0.500
55 Ba 0.491 0.910 0.909
56 Ba 0.513 0.447 0.397
57 Ba 0.991 0.090 0.591
58 Ba 0.993 0.240 0.758
59 Ba 0.509 0.090 0.091
60 Ba 0.987 0.447 0.897

SG   P2_1/c, No. 14
Calculated volume   16.8 A^3/atom
Total magnetization   0.00 μB per cell


Energies, relative to the best one, in meV per atom: A 0; B 42.


A | Below is a relaxed structure of BaTm2O4, with properties calculated at the GGA-PBE level.

Cell: 3.427 10.404 12.044 Å, 90.00 90.00 90.00°
Fractional positions:
1 Tm 0.750 0.076 0.609
2 Tm 0.250 0.924 0.391
3 Tm 0.750 0.574 0.390
4 Tm 0.750 0.576 0.891
5 Tm 0.250 0.426 0.610
6 Tm 0.250 0.424 0.109
7 Tm 0.750 0.074 0.110
8 Tm 0.250 0.926 0.890
9 O 0.750 0.484 0.217
10 O 0.250 0.211 0.155
11 O 0.250 0.613 0.016
12 O 0.750 0.887 0.516
13 O 0.250 0.932 0.074
14 O 0.750 0.289 0.655
15 O 0.750 0.568 0.574
16 O 0.250 0.432 0.426
17 O 0.750 0.068 0.926
18 O 0.750 0.387 0.984
19 O 0.250 0.016 0.717
20 O 0.750 0.984 0.283
21 O 0.250 0.711 0.345
22 O 0.250 0.516 0.783
23 O 0.750 0.789 0.845
24 O 0.250 0.113 0.484
25 Ba 0.750 0.248 0.351
26 Ba 0.750 0.748 0.149
27 Ba 0.250 0.252 0.851
28 Ba 0.250 0.752 0.649

SG   Pnma, No. 62
Calculated volume   15.3 A^3/atom


B | Below is a relaxed structure of BaTm2O4, with properties calculated at the GGA-PBE level.

Cell: 5.863 5.863 11.400 Å, 90.00 90.00 146.21°
Fractional positions:
1 O 0.567 0.433 0.250
2 O 0.740 0.260 0.899
3 O 0.260 0.740 0.101
4 O 0.433 0.567 0.750
5 O 0.000 0.000 0.000
6 O 0.000 0.000 0.500
7 O 0.260 0.740 0.399
8 O 0.740 0.260 0.601
9 Tm 0.635 0.365 0.070
10 Tm 0.365 0.635 0.570
11 Tm 0.365 0.635 0.930
12 Tm 0.635 0.365 0.430
13 Ba 0.111 0.889 0.750
14 Ba 0.889 0.111 0.250

SG   Cmcm, No. 63
Calculated volume   15.6 A^3/atom
Total magnetization   0.00 μB per cell


Energies, relative to the best one, in meV per atom: A 0; B 41.


A | Below is a relaxed structure of Ba3Y2O6, with properties calculated at the GGA-PBE level.

Cell: 11.347 11.347 11.347 Å, 157.56 157.56 31.94°
Fractional positions:
1 O 0.801 0.801 0.000
2 O 0.083 0.583 0.500
3 O 0.583 0.083 0.500
4 O 0.199 0.199 0.000
5 O 0.417 0.917 0.500
6 O 0.917 0.417 0.500
7 Y 0.898 0.898 0.000
8 Y 0.102 0.102 0.000
9 Ba 0.500 0.500 0.000
10 Ba 0.317 0.317 0.000
11 Ba 0.683 0.683 0.000

SG   I4/mmm, No. 139
Calculated volume   19.3 A^3/atom
Total magnetization   0.00 μB per cell


B | Below is a relaxed structure of Ba3Y2O6, with properties calculated at the GGA-PBE level.

Cell: 3.594 12.526 18.156 Å, 90.00 90.00 90.00°
Fractional positions:
1 O 0.500 0.754 0.417
2 O 0.000 0.000 0.500
3 O 0.000 0.057 0.152
4 O 0.500 0.000 0.000
5 O 0.000 0.709 0.568
6 O 0.000 0.694 0.758
7 O 0.000 0.557 0.348
8 O 0.500 0.500 0.500
9 O 0.500 0.746 0.917
10 O 0.000 0.943 0.848
11 O 0.000 0.291 0.432
12 O 0.500 0.254 0.083
13 O 0.000 0.194 0.742
14 O 0.000 0.791 0.068
15 O 0.000 0.209 0.932
16 O 0.500 0.012 0.661
17 O 0.500 0.246 0.583
18 O 0.500 0.512 0.839
19 O 0.000 0.806 0.258
20 O 0.000 0.306 0.242
21 O 0.000 0.500 0.000
22 O 0.500 0.988 0.339
23 O 0.000 0.443 0.652
24 O 0.500 0.488 0.161
25 Y 0.000 0.613 0.861
26 Y 0.000 0.629 0.459
27 Y 0.000 0.871 0.959
28 Y 0.000 0.129 0.041
29 Y 0.000 0.113 0.639
30 Y 0.000 0.371 0.541
31 Y 0.000 0.887 0.361
32 Y 0.000 0.387 0.139
33 Ba 0.500 0.366 0.948
34 Ba 0.500 0.866 0.552
35 Ba 0.500 0.651 0.267
36 Ba 0.500 0.896 0.154
37 Ba 0.500 0.104 0.846
38 Ba 0.500 0.151 0.233
39 Ba 0.500 0.604 0.654
40 Ba 0.500 0.349 0.733
41 Ba 0.500 0.634 0.052
42 Ba 0.500 0.849 0.767
43 Ba 0.500 0.396 0.346
44 Ba 0.500 0.134 0.448

SG   Pbam, No. 55
Calculated volume   18.6 A^3/atom
Total magnetization   0.00 μB per cell


Energies, relative to the best one, in meV per atom: A 0; B 58.


A | Below is a relaxed structure of Ba3Pm, with properties calculated at the GGA-PBE level.

Cell: 7.314 7.314 7.314 Å, 132.15 132.15 69.99°
Fractional positions:
1 Ba 0.750 0.250 0.500
2 Ba 0.500 0.500 0.000
3 Ba 0.250 0.750 0.500
4 Pm 0.000 0.000 0.000

SG   I4/mmm, No. 139
Calculated volume   52.7 A^3/atom
Total magnetization   0.19 μB per cell


B | Below is a relaxed structure of Ba3Pm, with properties calculated at the GGA-PBE level.

Cell: 8.518 8.518 6.763 Å, 90.00 90.00 120.00°
Fractional positions:
1 Ba 0.655 0.827 0.250
2 Ba 0.345 0.173 0.750
3 Ba 0.173 0.345 0.250
4 Ba 0.827 0.173 0.750
5 Ba 0.827 0.655 0.750
6 Ba 0.173 0.827 0.250
7 Pm 0.667 0.333 0.250
8 Pm 0.333 0.667 0.750

SG   P6_3/mmc, No. 194
Calculated volume   53.1 A^3/atom
Total magnetization   2.10 μB per cell


C | Below is a relaxed structure of Ba3Pm, with properties calculated at the GGA-PBE level.

Cell: 5.947 5.947 5.947 Å, 90.00 90.00 90.00°
Fractional positions:
1 Pm 0.000 0.000 0.000
2 Ba 0.500 0.500 0.000
3 Ba 0.500 0.000 0.500
4 Ba 0.000 0.500 0.500

SG   Pm-3m, No. 221
Calculated volume   52.6 A^3/atom
Total magnetization   0.50 μB per cell


Energies, relative to the best one, in meV per atom: A 19; B 0; C 25.


A | Below is a relaxed structure of RbBa3, with properties calculated at the GGA-PBE level.

Cell: 8.167 8.167 8.167 Å, 133.83 133.83 67.36°
Fractional positions:
1 Rb 0.000 0.000 0.000
2 Ba 0.750 0.250 0.500
3 Ba 0.250 0.750 0.500
4 Ba 0.500 0.500 0.000

SG   I4/mmm, No. 139
Calculated volume   69.7 A^3/atom
Total magnetization   0.04 μB per cell


B | Below is a relaxed structure of RbBa3, with properties calculated at the GGA-PBE level.

Cell: 7.327 7.327 7.327 Å, 60.00 60.00 60.00°
Fractional positions:
1 Rb 0.000 0.000 0.000
2 Ba 0.750 0.750 0.750
3 Ba 0.250 0.250 0.250
4 Ba 0.500 0.500 0.500

SG   Fm-3m, No. 225
Calculated volume   69.5 A^3/atom
Total magnetization   0.70 μB per cell


Energies, relative to the best one, in meV per atom: A 0; B 10.


A | Below is a relaxed structure of Ba3Zr2S7, with properties calculated at the GGA-PBE level.

Cell: 5.041 5.041 13.407 Å, 100.84 100.84 90.00°
Fractional positions:
1 Ba 0.000 0.000 0.000
2 Ba 0.819 0.819 0.638
3 Ba 0.181 0.181 0.362
4 Zr 0.400 0.400 0.799
5 Zr 0.600 0.600 0.201
6 S 0.302 0.302 0.604
7 S 0.404 0.904 0.808
8 S 0.596 0.096 0.192
9 S 0.500 0.500 0.000
10 S 0.096 0.596 0.192
11 S 0.904 0.404 0.808
12 S 0.698 0.698 0.396

SG   I4/mmm, No. 139
Calculated volume   27.4 A^3/atom


B | Below is a relaxed structure of Ba3Zr2S7, with properties calculated at the GGA-PBE level.

Cell: 7.171 7.171 25.548 Å, 90.00 90.00 90.00°
Fractional positions:
1 Zr 0.251 0.251 0.600
2 Zr 0.249 0.751 0.100
3 Zr 0.751 0.249 0.100
4 Zr 0.749 0.749 0.400
5 Zr 0.251 0.251 0.400
6 Zr 0.751 0.249 0.900
7 Zr 0.749 0.749 0.600
8 Zr 0.249 0.751 0.900
9 Ba 0.755 0.755 0.000
10 Ba 0.265 0.265 0.181
11 Ba 0.735 0.735 0.181
12 Ba 0.765 0.235 0.319
13 Ba 0.245 0.245 0.000
14 Ba 0.255 0.745 0.500
15 Ba 0.735 0.735 0.819
16 Ba 0.235 0.765 0.681
17 Ba 0.265 0.265 0.819
18 Ba 0.235 0.765 0.319
19 Ba 0.765 0.235 0.681
20 Ba 0.745 0.255 0.500
21 S 0.714 0.286 0.198
22 S 0.214 0.214 0.698
23 S 0.786 0.786 0.698
24 S 0.500 0.500 0.082
25 S 0.286 0.714 0.198
26 S 0.286 0.714 0.802
27 S 0.000 0.000 0.113
28 S 0.500 0.500 0.918
29 S 0.000 0.500 0.404
30 S 0.000 0.000 0.418
31 S 0.500 0.000 0.596
32 S 0.500 0.000 0.904
33 S 0.206 0.794 0.000
34 S 0.786 0.786 0.302
35 S 0.706 0.706 0.500
36 S 0.214 0.214 0.302
37 S 0.294 0.294 0.500
38 S 0.714 0.286 0.802
39 S 0.500 0.000 0.404
40 S 0.794 0.206 0.000
41 S 0.500 0.500 0.613
42 S 0.000 0.000 0.887
43 S 0.000 0.000 0.582
44 S 0.000 0.500 0.096
45 S 0.000 0.500 0.904
46 S 0.500 0.500 0.387
47 S 0.000 0.500 0.596
48 S 0.500 0.000 0.096

SG   P4_2/mnm, No. 136
Calculated volume   27.4 A^3/atom


C | Below is a relaxed structure of Ba3Zr2S7, with properties calculated at the GGA-PBE level.

Cell: 13.399 13.399 7.122 Å, 90.00 90.00 149.05°
Fractional positions:
1 Ba 0.000 0.500 0.000
2 Ba 0.306 0.168 0.500
3 Ba 0.832 0.694 0.000
4 Ba 0.694 0.832 0.500
5 Ba 0.168 0.306 0.000
6 Ba 0.500 0.000 0.500
7 S 0.349 0.651 0.250
8 S 0.349 0.651 0.750
9 S 0.285 0.182 0.000
10 S 0.651 0.349 0.750
11 S 0.000 0.500 0.500
12 S 0.156 0.844 0.250
13 S 0.182 0.285 0.500
14 S 0.500 0.000 0.000
15 S 0.651 0.349 0.250
16 S 0.818 0.715 0.500
17 S 0.715 0.818 0.000
18 S 0.844 0.156 0.250
19 S 0.844 0.156 0.750
20 S 0.156 0.844 0.750
21 Zr 0.899 0.600 0.500
22 Zr 0.101 0.400 0.500
23 Zr 0.400 0.101 0.000
24 Zr 0.600 0.899 0.000

SG   Cccm, No. 66
Calculated volume   27.4 A^3/atom
Total magnetization   0.00 μB per cell


Energies, relative to the best one, in meV per atom: A 10; B 0; C 17.